DFT (PBE) results for an optimized crystal structure of SmNi2Sb2.

**E_tot**: -55.3 eV/cell
**E (MP2020)**: -0.2059 Ha/atom
**Space group**: P4/nmm (129)
**Theoretical density**: 8.565 Mg/m³
**Energy of formation**: -0.70 eV/atom

Unit cell a=4.442 b=4.442 c=10.049 alpha=90.00 beta=90.00 gamma=90.00
Atoms (fractional coordinates):
Sb  0.500  0.000  0.126
Sb  0.500  0.500  0.500
Sm  0.000  0.500  0.239
Ni  0.000  0.000  0.000
Ni  0.500  0.000  0.376
Ni  0.500  0.500  0.000
Sb  0.000  0.000  0.500
Sb  0.000  0.500  0.874
Sm  0.500  0.000  0.761
Ni  0.000  0.500  0.624